Entry 1:
This record from Materials Project describes crystalline La7SmMn5Fe3O24 at its relaxed geometry. The functional is PBE with a Hubbard U.

```
40
Lattice="5.537 5.535 0.000 -5.537 5.535 0.000 0.000 0.004 7.842" Properties=species:S:1:pos:R:3 pbc="T T T"
La 2.787 5.537 1.925
La 0.000 2.756 1.928
La 2.786 5.537 5.917
La 0.000 2.751 5.920
La -2.787 5.537 1.925
La 0.000 8.319 5.915
La -2.786 5.537 5.917
Sm 0.000 8.327 1.918
Mn 0.000 11.068 3.918
Mn -2.764 8.305 3.918
Mn 0.000 5.540 0.004
Mn 2.764 8.305 3.918
Mn 0.000 5.542 3.918
Fe 0.000 11.068 0.002
Fe -2.765 8.304 0.002
Fe 2.765 8.304 0.002
O 4.180 6.895 7.841
O 1.343 4.195 0.001
O 4.152 6.920 3.920
O 1.384 4.156 3.919
O 1.345 9.705 0.017
O -1.333 6.888 0.014
O 1.374 9.681 3.908
O -1.375 6.929 3.909
O 0.000 11.052 1.964
O -2.749 8.303 2.022
O 0.000 11.071 5.877
O -2.767 8.306 5.820
O 2.749 8.303 2.022
O 0.000 5.554 1.949
O 2.767 8.306 5.820
O 0.000 5.541 5.894
O -1.345 9.705 0.017
O -4.180 6.895 7.841
O -1.374 9.681 3.908
O -4.152 6.920 3.920
O 1.333 6.888 0.014
O -1.343 4.195 0.001
O 1.375 6.929 3.909
O -1.384 4.156 3.919
```

=====

Entry 2:
This record from Materials Project describes crystalline Sr3La7Mn7Fe3O30 at its relaxed geometry. The functional is PBE with a Hubbard U.

```
50
Lattice="5.541 0.000 0.000 -0.107 7.875 0.000 -2.736 -3.916 13.973" Properties=species:S:1:pos:R:3 pbc="T T T"
Sr -0.053 1.988 13.931
Sr 2.776 -1.955 11.164
Sr -0.045 1.985 8.425
La -0.001 -1.948 13.919
La 2.694 5.898 5.621
La 2.718 1.981 11.179
La -0.046 1.974 2.780
La 0.013 -1.963 8.439
La 2.719 1.970 5.615
La -0.084 5.904 2.738
Mn 2.695 3.952 13.960
Mn -0.026 0.024 11.171
Mn 2.703 3.947 8.402
Mn 2.739 0.024 13.955
Mn -0.014 0.004 5.591
Mn -0.074 3.952 11.180
Mn 2.751 0.016 8.392
Fe 2.716 3.937 2.771
Fe -0.059 3.924 5.604
Fe 2.756 -0.007 2.771
O -1.265 -0.220 12.765
O 2.719 1.987 13.644
O 1.502 3.717 9.907
O 1.504 -0.178 12.474
O 1.165 4.195 12.779
O -0.040 1.990 11.415
O 0.006 -1.959 10.869
O -1.227 -0.289 7.072
O -1.340 3.785 9.616
O -1.557 0.247 9.933
O -1.609 4.146 12.488
O 2.795 -1.961 8.600
O 2.720 1.983 8.029
O 1.494 3.691 4.361
O 1.519 -0.245 6.765
O 1.189 4.229 7.118
O 1.223 0.168 9.647
O -0.018 1.925 5.866
O -0.116 5.944 5.216
O 4.349 -0.209 1.590
O 4.255 3.692 4.050
O 3.990 0.248 4.380
O 3.929 4.165 6.830
O 2.674 5.911 3.147
O 2.747 1.956 2.445
O 1.472 -0.199 1.285
O 1.131 4.133 1.569
O 1.202 0.250 4.062
O -0.025 1.965 0.344
O 4.005 4.122 1.272
```

=====

Number 1: total moment 33.3 μB/f.u., total DFT energy (no corrections) -7.76 eV/atom. Number 2: total moment 40.0 μB/f.u., total DFT energy (no corrections) -7.58 eV/atom.